# 1
The following is a DFT calculation (GGA+U) of a geometry-optimized Li5FeO4 structure.

Lattice parameters (Å, degrees): 5.6209 6.8280 11.0308 89.48 77.51 89.64
Closest atoms and distances in Å follow each position.
Positions (direct):
Li 0.7400 0.9797 0.9158  4 O 1.97-2.12
Li 0.8949 0.5293 0.1951  2 O 1.87-1.95
O 0.1579 0.4735 0.6292  1 Fe 1.92, 4 Li 1.92-2.07
Li 0.3265 0.0352 0.0633  3 O 1.95-2.05
O 0.9112 0.7337 0.8576  1 Fe 1.91, 4 Li 1.93-2.07
O 0.3969 0.7452 0.3631  1 Fe 1.90, 4 Li 1.91-2.01
O 0.6410 0.0275 0.1100  1 Fe 1.91, 4 Li 1.95-2.12
Li 0.9779 0.2556 0.3459  3 O 1.98-2.08
Li 0.5171 0.7515 0.1788  3 O 2.00-2.09
Li 0.3929 0.9659 0.6966  4 O 1.97-2.09
Li 0.8976 0.2460 0.6967  4 O 1.96-2.15
Li 0.2156 0.9751 0.4261  4 O 1.92-2.07
Li 0.6175 0.7504 0.7905  4 O 1.91-2.09
O 0.8897 0.9618 0.3756  5 Li 1.93-2.08, 1 Fe 1.96
O 0.6488 0.7640 0.6146  4 Li 1.91-2.06, 1 Fe 1.97
Li 0.4919 0.2464 0.8318  4 O 2.01-2.11
Fe 0.6762 0.7384 0.4341  4 O 1.89-1.97
O 0.1464 0.7528 0.1141  1 Fe 1.93, 4 Li 1.97-2.16
O 0.0947 0.2497 0.1333  1 Fe 1.91, 2 Li 1.95-2.00
Fe 0.8298 0.2531 0.0499  4 O 1.89-1.93
Li 0.1829 0.5232 0.4417  4 O 1.98-2.07
Fe 0.1802 0.7605 0.9362  4 O 1.91-1.95
Li 0.1117 0.7473 0.2960  4 O 1.91-2.00
Li 0.4493 0.2607 0.2305  1 O 1.81
O 0.4056 0.9657 0.8788  1 Fe 1.91, 5 Li 2.01-2.05
O 0.3799 0.5320 0.8758  1 Fe 1.95, 5 Li 1.99-2.11
Li 0.0857 0.4701 0.8073  4 O 1.92-2.07
Li 0.8064 0.0220 0.5563  4 O 1.98-2.01
O 0.5852 0.2260 0.6455  1 Fe 1.92, 5 Li 1.96-2.09
Li 0.4939 0.5162 0.6619  3 O 1.92-2.04
O 0.8349 0.2708 0.8780  1 Fe 1.89, 5 Li 1.96-2.11
O 0.2991 0.2517 0.3934  4 Li 1.81-2.00, 1 Fe 1.85
Li 0.6869 0.5349 0.9374  4 O 1.93-2.03
Fe 0.3246 0.2421 0.5579  4 O 1.85-1.92
Li 0.0116 0.7435 0.6535  4 O 2.01-2.20
O 0.8953 0.5369 0.3648  4 Li 1.87-1.98, 1 Fe 1.89
Li 0.3057 0.4693 0.0675  4 O 1.95-2.15
O 0.6260 0.4735 0.1146  1 Fe 1.93, 5 Li 1.95-2.07
Li 0.9010 0.9802 0.1999  3 O 1.93-2.16
O 0.1193 0.0211 0.6154  1 Fe 1.92, 5 Li 1.97-2.07

## Properties
ΔH_f (0 K) = -19.85 eV/f.u.
Space group = P1, No. 1

=====

# 2
The following is a DFT calculation (GGA+U) of a geometry-optimized CrSiO5 structure.

Lattice parameters (Å, degrees): 5.1632 8.3588 7.6476 90.15 42.19 69.68
Closest atoms and distances in Å follow each position.
Positions (direct):
O 0.3401 0.1181 0.2708  1 Si 1.65, 1 Cr 1.82
Cr 0.5008 0.0279 0.9690  1 O 1.58
O 0.9175 0.0931 0.2286  1 Si 1.64, 1 Cr 1.82
Cr 0.4999 0.5279 0.0218  1 O 1.58
O 0.0750 0.8769 0.7615  1 Si 1.62
Si 0.4905 0.2381 0.3187  4 O 1.63-1.65
Si 0.4867 0.7376 0.6839  4 O 1.62-1.65
O 0.9193 0.5907 0.3457  1 Si 1.64, 1 Cr 1.81
O 0.6540 0.3550 0.1177  1 Si 1.64, 1 Cr 1.83
O 0.3357 0.6182 0.8830  1 Si 1.65, 1 Cr 1.82
O 0.6483 0.8556 0.7214  1 Si 1.64, 1 Cr 1.82
O 0.5261 0.1905 0.8634  1 Cr 1.58
O 0.0736 0.3802 0.6539  1 Si 1.63, 1 Cr 1.82
O 0.5204 0.6925 0.1045  1 Cr 1.58

## Properties
ΔH_f (0 K) = -14.52 eV/f.u.
Space group = P1, No. 1

=====

# 3
The following is a DFT calculation (GGA+U) of a geometry-optimized TiNiP2O8 structure.

Lattice parameters (Å, degrees): 8.4655 8.4655 8.4655 61.13 61.13 61.13
Closest atoms and distances in Å follow each position.
Positions (direct):
O 0.5033 0.6837 0.8827  1 P 1.57
P 0.5462 0.2500 0.9528  4 O 1.53-1.56
O 0.0584 0.2545 0.9092  1 P 1.57
O 0.8827 0.5033 0.6837  1 P 1.57
O 0.2449 0.4323 0.5894  1 P 1.57
O 0.8174 0.0138 0.6084  1 P 1.49
O 0.0960 0.9457 0.7410  1 P 1.53
O 0.1118 0.4889 0.3280  1 P 1.55
O 0.0138 0.6084 0.8174  1 P 1.49
O 0.5535 0.4126 0.7567  1 P 1.56
O 0.3280 0.1118 0.4889  1 P 1.55
P 0.2500 0.9528 0.5462  4 O 1.53-1.56
O 0.6837 0.8827 0.5033  1 P 1.57
Ti 0.6452 0.6452 0.6452  6 O 1.87-2.08
O 0.9457 0.7410 0.0960  1 P 1.53
O 0.1820 0.0022 0.3822  1 P 1.55
P 0.9528 0.5462 0.2500  4 O 1.53-1.56
Ni 0.8582 0.8582 0.8582  6 O 1.98-2.09
O 0.4126 0.7567 0.5535  1 P 1.56
P 0.7524 0.0470 0.4563  4 O 1.49-1.57
O 0.0022 0.3822 0.1820  1 P 1.55
P 0.4563 0.7524 0.0470  4 O 1.49-1.57
O 0.7410 0.0960 0.9457  1 P 1.53
P 0.0470 0.4563 0.7524  4 O 1.49-1.57
Ti 0.1423 0.1423 0.1423  6 O 1.90-2.05
Ti 0.3552 0.3552 0.3552  6 O 1.88-2.03
O 0.4323 0.5894 0.2449  1 P 1.57
Ni 0.9972 0.9972 0.9972  6 O 2.10-2.17
O 0.7567 0.5535 0.4126  1 P 1.56
Ni 0.4988 0.4988 0.4988  6 O 2.15-2.16
O 0.2545 0.9092 0.0584  1 P 1.57
O 0.5894 0.2449 0.4323  1 P 1.57
O 0.4889 0.3280 0.1118  1 P 1.55
O 0.9092 0.0584 0.2545  1 P 1.57
O 0.6084 0.8174 0.0138  1 P 1.49
O 0.3822 0.1820 0.0022  1 P 1.55

## Properties
ΔH_f (0 K) = -32.26 eV/f.u.
Space group = R3, No. 146

=====

# 4
The following is a DFT calculation (GGA+U) of a geometry-optimized KSrCeWO6 structure.

Lattice parameters (Å, degrees): 6.0086 6.0086 6.0086 60.00 60.00 60.00
Closest atoms and distances in Å follow each position.
Positions (direct):
Sr 0.7500 0.7500 0.7500  12 O 3.01
W 0.5000 0.5000 0.5000  6 O 1.97
O 0.7322 0.2678 0.7322  1 W 1.97
K 0.2500 0.2500 0.2500  12 O 3.01
O 0.2678 0.2678 0.7322  1 W 1.97
Ce 0.0000 0.0000 0.0000  6 O 2.28
O 0.2678 0.7322 0.7322  1 W 1.97
O 0.7322 0.7322 0.2678  1 W 1.97
O 0.7322 0.2678 0.2678  1 W 1.97
O 0.2678 0.7322 0.2678  1 W 1.97

## Properties
ΔH_f (0 K) = -28.63 eV/f.u.
Space group = F-43m, No. 216

=====

# 5
The following is a DFT calculation (GGA+U) of a geometry-optimized Li2MnF4 structure.

Lattice parameters (Å, degrees): 7.4147 8.9355 9.9578 90.00 90.00 90.00
Closest atoms and distances in Å follow each position.
Positions (direct):
F 0.9806 0.6830 0.9890  2 Li 1.84-1.85
Li 0.2645 0.9244 0.1564  4 F 1.83-1.95
F 0.2165 0.4369 0.5429  2 Li 1.85
F 0.0194 0.1830 0.0110  2 Li 1.84-1.85
F 0.8656 0.4368 0.1701  2 Li 1.85-1.89, 1 Mn 2.07
Li 0.6887 0.2548 0.5917  4 F 1.84-1.90
Li 0.7645 0.4244 0.3436  4 F 1.83-1.95
Li 0.2115 0.4227 0.8654  4 F 1.85-2.01
F 0.1344 0.9368 0.8299  2 Li 1.85-1.89, 1 Mn 2.07
F 0.6090 0.5956 0.9123  2 Li 1.91-1.92
F 0.6344 0.4368 0.6701  2 Li 1.85-1.89, 1 Mn 2.07
Mn 0.4914 0.1417 0.3073  4 F 2.06-2.27
F 0.5209 0.3918 0.2765  2 Li 1.95-1.96
F 0.3058 0.2244 0.7999  2 Li 1.94-2.01
F 0.9791 0.3918 0.7765  2 Li 1.95-1.96
F 0.1558 0.7697 0.5515  2 Li 1.83-1.84
F 0.7165 0.9369 0.9571  2 Li 1.85
Mn 0.5149 0.0796 0.8868  4 F 2.09-2.21
F 0.6942 0.7244 0.2001  2 Li 1.94-2.01
F 0.3442 0.7697 0.0515  2 Li 1.83-1.84
Li 0.2852 0.2505 0.6069  4 F 1.84-1.94
F 0.7835 0.9369 0.4571  2 Li 1.85
F 0.8910 0.5956 0.4123  2 Li 1.91-1.92
F 0.0209 0.8918 0.2235  2 Li 1.95-1.96
Mn 0.9914 0.6417 0.1927  4 F 2.06-2.27
Li 0.1887 0.7548 0.9083  4 F 1.84-1.90
Mn 0.5086 0.6417 0.6927  4 F 2.06-2.27
F 0.3656 0.9368 0.3299  2 Li 1.85-1.89, 1 Mn 2.07
F 0.2523 0.6083 0.7780  2 Li 1.90, 1 Mn 2.10
Mn 0.0149 0.5796 0.6132  4 F 2.09-2.21
F 0.1090 0.0956 0.5877  2 Li 1.91-1.92
Li 0.2355 0.9244 0.6564  4 F 1.83-1.95
Mn 0.9851 0.0796 0.3868  4 F 2.09-2.21
F 0.3910 0.0956 0.0877  2 Li 1.91-1.92
F 0.2477 0.6083 0.2780  2 Li 1.90, 1 Mn 2.10
F 0.4806 0.1830 0.5110  2 Li 1.84-1.85
F 0.6558 0.2697 0.9485  2 Li 1.83-1.84
Li 0.2148 0.2505 0.1069  4 F 1.84-1.94
F 0.8058 0.7244 0.7001  2 Li 1.94-2.01
Li 0.7885 0.9227 0.1346  4 F 1.85-2.01
Mn 0.0086 0.1417 0.8073  4 F 2.06-2.27
Li 0.2885 0.4227 0.3654  4 F 1.85-2.01
F 0.1942 0.2244 0.2999  2 Li 1.94-2.01
Li 0.7115 0.9227 0.6346  4 F 1.85-2.01
Li 0.7852 0.7505 0.8931  4 F 1.84-1.94
Li 0.8113 0.2548 0.0917  4 F 1.84-1.90
Li 0.3113 0.7548 0.4083  4 F 1.84-1.90
F 0.7523 0.1083 0.7220  2 Li 1.90, 1 Mn 2.10
F 0.4791 0.8918 0.7235  2 Li 1.95-1.96
Li 0.7148 0.7505 0.3931  4 F 1.84-1.94
F 0.2835 0.4369 0.0429  2 Li 1.85
F 0.7477 0.1083 0.2220  2 Li 1.90, 1 Mn 2.10
Li 0.7355 0.4244 0.8436  4 F 1.83-1.95
F 0.5194 0.6830 0.4890  2 Li 1.84-1.85
F 0.8442 0.2697 0.4485  2 Li 1.83-1.84
Mn 0.4851 0.5796 0.1132  4 F 2.09-2.21

## Properties
ΔH_f (0 K) = -21.15 eV/f.u.
Space group = Pna2_1, No. 33

=====

# 6
The following is a DFT calculation (GGA+U) of a geometry-optimized MgTi3V5O16 structure.

Lattice parameters (Å, degrees): 5.8604 6.0169 9.7837 90.39 81.68 120.67
Closest atoms and distances in Å follow each position.
Positions (direct):
V 0.7364 0.6185 0.7133  1 O 1.76
Mg 0.1873 0.0938 0.9490  6 O 2.07-2.14
O 0.0746 0.0405 0.3086  2 Ti 1.93-1.96, 1 V 1.97
O 0.1194 0.3065 0.5878  1 Ti 1.85, 1 V 2.01
O 0.4569 0.2310 0.0949  1 V 1.95, 1 Ti 1.96, 1 Mg 2.13
V 0.3369 0.6655 0.4912  5 O 1.95-2.17
Ti 0.2298 0.8427 0.2218  4 O 1.82-1.97
O 0.5515 0.5617 0.3307  1 Ti 1.83, 1 V 2.01
O 0.4141 0.4236 0.8114  1 V 1.76
Ti 0.2688 0.1317 0.6553  4 O 1.85-2.07
O 0.6254 0.8099 0.6011  3 V 1.95-1.99
O 0.0932 0.5418 0.3281  2 Ti 1.82-2.03
O 0.9731 0.7566 0.0928  1 Ti 1.97, 2 V 1.99-2.19, 1 Mg 2.14
O 0.6415 0.3186 0.5937  1 Ti 1.88, 2 V 2.02
O 0.9823 0.2251 0.0914  2 V 1.97-1.99, 1 Mg 2.12, 1 Ti 2.18
O 0.1196 0.8070 0.5871  1 Ti 1.85, 1 V 1.99
O 0.9216 0.9600 0.8012  2 V 2.03, 1 Ti 2.07, 1 Mg 2.13
V 0.8364 0.4157 0.0114  4 O 1.85-1.99
O 0.4152 0.9914 0.8105  1 V 1.77
Ti 0.2968 0.3886 0.2208  5 O 1.83-2.04
O 0.4587 0.7354 0.1093  2 Ti 1.97-2.04, 1 V 1.98
O 0.8826 0.4408 0.8195  3 V 1.85-2.04
O 0.5429 0.9921 0.3309  1 V 1.78
V 0.7390 0.1168 0.7121  1 O 1.77
V 0.7522 0.9079 0.2203  4 O 1.78-1.99

## Properties
ΔH_f (0 K) = -70.10 eV/f.u.
Space group = P1, No. 1

=====

# 7
The following is a DFT calculation (GGA+U) of a geometry-optimized MgMn4O8 structure.

Lattice parameters (Å, degrees): 5.5850 5.5850 6.6719 53.33 53.33 65.62
Closest atoms and distances in Å follow each position.
Positions (direct):
O 0.8923 0.8923 0.9009  2 Mn 1.89-1.91, 1 Mg 1.96
O 0.3664 0.8422 0.3957  3 Mn 2.00-2.05, 1 Mg 2.11
O 0.3148 0.3148 0.4696  3 Mn 1.90-2.06
O 0.8921 0.8921 0.3150  2 Mn 1.89-1.91, 1 Mg 1.96
Mn 0.0922 0.0922 0.9082  6 O 1.91-2.06
Mn 0.6056 0.6056 0.6036  4 O 1.89-2.01
O 0.8422 0.3664 0.3957  3 Mn 2.00-2.05, 1 Mg 2.11
Mn 0.6058 0.6058 0.1853  4 O 1.89-2.00
O 0.3147 0.3147 0.9013  3 Mn 1.90-2.06
O 0.7868 0.4176 0.8982  1 Mn 1.91
O 0.4176 0.7868 0.8982  1 Mn 1.91
Mn 0.3015 0.3015 0.1986  4 O 1.90-2.05
Mg 0.8933 0.8933 0.6068  4 O 1.96-2.11

## Properties
ΔH_f (0 K) = -24.80 eV/f.u.
Space group = Imm2, No. 44

=====

# 8
The following is a DFT calculation (GGA+U) of a geometry-optimized Fe4CoBi5O15 structure.

Lattice parameters (Å, degrees): 3.7949 6.3421 14.7206 87.93 88.83 88.19
Closest atoms and distances in Å follow each position.
Positions (direct):
O 0.5403 0.7316 0.7283  1 Fe 1.84
Bi 0.9754 0.9812 0.0040  5 O 2.23-2.47
O 0.0100 0.2283 0.2410  2 Co 2.03-2.05, 1 Bi 2.19
Bi 0.9681 0.7817 0.6051  5 O 2.24-2.46
O 0.5162 0.4257 0.1405  1 Fe 2.01, 1 Co 2.05
O 0.5110 0.8326 0.9414  2 Fe 2.03-2.07, 1 Bi 2.25
Fe 0.5139 0.9442 0.8105  5 O 1.84-2.03
Bi 0.9642 0.3777 0.8058  5 O 2.24-2.48
O 0.0105 0.4352 0.6396  2 Fe 2.02-2.04, 1 Bi 2.24
O 0.5138 0.6327 0.5397  2 Fe 2.02-2.05, 1 Bi 2.24
Fe 0.5139 0.5456 0.0125  5 O 1.86-2.07
O 0.5378 0.9388 0.1293  1 Co 1.76
Bi 0.9646 0.1815 0.4044  5 O 2.23-2.44
O 0.5165 0.2254 0.7397  2 Fe 2.03, 1 Bi 2.24
O 0.5433 0.1350 0.5283  1 Fe 1.84
O 0.5414 0.5343 0.3284  1 Fe 1.87
Fe 0.5145 0.3488 0.6102  5 O 1.84-2.05
O 0.0095 0.0291 0.8407  2 Fe 2.02-2.03, 1 Bi 2.25
O 0.5107 0.0341 0.3397  1 Co 2.01, 1 Fe 2.04, 1 Bi 2.23
Fe 0.5122 0.7524 0.4106  5 O 1.87-2.04
O 0.0091 0.6366 0.0390  2 Fe 2.02-2.03, 1 Bi 2.23
Bi 0.9725 0.5680 0.2096  4 O 2.19-2.44
O 0.0083 0.8346 0.4389  2 Fe 2.01-2.02, 1 Bi 2.24
O 0.5414 0.3343 0.9280  1 Fe 1.86
Co 0.5155 0.1385 0.2094  1 O 1.76

## Properties
ΔH_f (0 K) = -39.78 eV/f.u.
Space group = P1, No. 1

=====

Repeat the seventh record exactly.
The following is a DFT calculation (GGA+U) of a geometry-optimized MgMn4O8 structure.

Lattice parameters (Å, degrees): 5.5850 5.5850 6.6719 53.33 53.33 65.62
Closest atoms and distances in Å follow each position.
Positions (direct):
O 0.8923 0.8923 0.9009  2 Mn 1.89-1.91, 1 Mg 1.96
O 0.3664 0.8422 0.3957  3 Mn 2.00-2.05, 1 Mg 2.11
O 0.3148 0.3148 0.4696  3 Mn 1.90-2.06
O 0.8921 0.8921 0.3150  2 Mn 1.89-1.91, 1 Mg 1.96
Mn 0.0922 0.0922 0.9082  6 O 1.91-2.06
Mn 0.6056 0.6056 0.6036  4 O 1.89-2.01
O 0.8422 0.3664 0.3957  3 Mn 2.00-2.05, 1 Mg 2.11
Mn 0.6058 0.6058 0.1853  4 O 1.89-2.00
O 0.3147 0.3147 0.9013  3 Mn 1.90-2.06
O 0.7868 0.4176 0.8982  1 Mn 1.91
O 0.4176 0.7868 0.8982  1 Mn 1.91
Mn 0.3015 0.3015 0.1986  4 O 1.90-2.05
Mg 0.8933 0.8933 0.6068  4 O 1.96-2.11

## Properties
ΔH_f (0 K) = -24.80 eV/f.u.
Space group = Imm2, No. 44